No. 1
The following is a GGA+U calculation of crystalline ErAgW2O8 at its relaxed geometry, from the Materials Project.

a = 7.378 Å, b = 7.378 Å, c = 7.279 Å
α = 114.10°, β = 114.10°, γ = 94.61°
Element x y z (fractional)
Er1 0.199 0.801 0.000
Er2 0.801 0.199 0.000
Ag1 0.181 0.181 0.522
Ag2 0.819 0.819 0.478
W1 0.287 0.287 0.028
W2 0.336 0.664 0.500
W3 0.664 0.336 0.500
W4 0.713 0.713 0.972
O1 0.053 0.053 0.860
O2 0.145 0.396 0.240
O3 0.188 0.717 0.652
O4 0.200 0.460 0.911
O5 0.283 0.812 0.348
O6 0.396 0.145 0.240
O7 0.460 0.200 0.911
O8 0.478 0.478 0.659
O9 0.522 0.522 0.341
O10 0.540 0.800 0.089
O11 0.604 0.855 0.760
O12 0.717 0.188 0.652
O13 0.800 0.540 0.089
O14 0.812 0.283 0.348
O15 0.855 0.604 0.760
O16 0.947 0.947 0.140

**Space-group type**: No. 12
**Crystal system**: monoclinic
**E_form**: -2.380 eV/atom

No. 2
The following is a GGA+U calculation of crystalline EuAgW2O8 at its relaxed geometry, from the Materials Project.

a = 7.552 Å, b = 7.552 Å, c = 7.468 Å
α = 114.49°, β = 114.49°, γ = 94.10°
Element x y z (fractional)
Eu1 0.199 0.801 0.000
Eu2 0.801 0.199 0.000
Ag1 0.192 0.192 0.514
Ag2 0.808 0.808 0.486
W1 0.288 0.288 0.033
W2 0.336 0.664 0.500
W3 0.664 0.336 0.500
W4 0.712 0.712 0.967
O1 0.059 0.059 0.863
O2 0.154 0.400 0.246
O3 0.184 0.715 0.640
O4 0.200 0.453 0.915
O5 0.285 0.816 0.360
O6 0.400 0.154 0.246
O7 0.453 0.200 0.915
O8 0.478 0.478 0.657
O9 0.522 0.522 0.343
O10 0.547 0.800 0.085
O11 0.600 0.846 0.754
O12 0.715 0.184 0.640
O13 0.800 0.547 0.085
O14 0.816 0.285 0.360
O15 0.846 0.600 0.754
O16 0.941 0.941 0.137

**Space-group type**: No. 12
**Crystal system**: monoclinic
**E_form**: -2.194 eV/atom